A relaxed structure of Te2MoW2Se2S2. Source: the Materials Project database, functional PBE.

Lattice parameters (Å, degrees): 3.3513 3.3513 31.0489 90.00 90.00 120.00
Last column: nearest neighbours and their distance in Å.
Element x y z (fractional)
S: 0.3333 0.6667 0.1645  3 Mo 2.46
W: 0.3333 0.6667 0.3469  6 Te 2.72
Te: 0.0000 0.0000 0.2855  3 W 2.72
Te: 0.0000 0.0000 0.4083  3 W 2.72
S: 0.3333 0.6667 0.0668  3 Mo 2.46
Mo: 0.0000 0.0000 0.1156  6 S 2.46
W: 0.0000 0.0000 0.5784  6 Se 2.56
Se: 0.3333 0.6667 0.6323  3 W 2.56
Se: 0.3333 0.6667 0.5245  3 W 2.56

Summary:
size of the total moment	0.000	μB/f.u.
relative energy among the computed polymorphs	0.049	eV/atom
formation energy	-485	kJ/mol of formula units
space-group type	No. 156